No. 1
Density functional theory data (GGA+U) for a geometry-optimized Li32Ti11Cr5O48 structure. Values from VASP.

```
&SYSTEM
  ibrav = 0, nat = 96, ntyp = 4
/
ATOMIC_SPECIES
Li 6.94 Li.upf
Ti 47.87 Ti.upf
Cr 52.00 Cr.upf
O 16.00 O.upf
CELL_PARAMETERS angstrom
5.080 0.001 0.001
2.534 4.402 -0.001
-0.783 1.354 38.645
ATOMIC_POSITIONS angstrom
Li 0.494 0.731 9.654
Li 6.332 2.201 0.002
Li 1.274 2.182 7.245
Li 1.274 2.151 14.497
Li 1.304 2.153 21.738
Li 1.327 2.120 28.989
Li 1.328 2.096 36.227
Li 2.074 3.636 4.831
Li 2.095 0.711 4.834
Li 2.105 3.581 19.321
Li 2.123 3.528 33.808
Li 2.136 0.699 12.077
Li 4.660 5.059 19.319
Li 2.932 2.154 9.655
Li 2.948 2.128 24.146
Li 3.052 5.077 24.155
Li 3.059 5.065 38.642
Li 3.780 0.690 0.009
Li 3.794 0.663 14.499
Li 3.879 3.662 14.499
Li 3.906 3.603 28.989
Li 4.695 5.059 26.571
Li 4.737 2.216 4.837
Li 4.749 2.197 19.318
Li 4.716 5.046 33.809
Li 4.752 2.139 33.811
Li 5.516 3.655 2.415
Li 5.499 3.630 9.656
Li 5.526 3.615 16.908
Li 5.530 3.586 24.152
Li 5.543 3.573 31.400
Li 6.333 5.033 28.990
Ti 2.137 3.636 12.076
Ti 2.162 3.595 26.575
Ti 2.952 2.209 2.409
Ti 3.001 2.164 16.908
Ti 3.017 5.049 31.398
Ti 3.837 0.718 7.246
Ti 3.857 3.560 36.224
Ti 4.666 2.162 12.077
Ti 4.691 2.118 26.576
Ti 6.386 5.056 21.744
Ti 6.410 5.033 36.223
Cr 0.432 0.719 2.418
Cr 0.442 0.681 16.910
Cr 3.021 2.114 31.400
Cr 3.810 3.642 7.242
Cr 3.839 3.614 21.735
O 0.333 0.696 13.175
O 0.382 0.612 6.152
O 1.229 2.267 10.957
O 1.253 2.223 25.456
O 1.349 2.107 3.544
O 1.346 2.037 18.017
O 1.390 2.011 32.513
O 2.017 0.818 1.310
O 2.057 0.781 15.808
O 2.206 3.735 8.336
O 2.167 0.589 8.347
O 2.186 3.708 22.847
O 2.231 3.656 37.325
O 2.224 3.643 1.305
O 2.257 3.647 15.816
O 2.285 3.546 30.316
O 2.889 5.054 27.676
O 2.974 4.945 20.655
O 2.958 4.935 35.121
O 3.038 2.260 13.179
O 3.061 2.217 27.672
O 3.098 2.219 6.152
O 3.126 2.168 20.657
O 3.130 2.098 35.128
O 3.689 3.709 3.497
O 3.721 3.625 18.001
O 3.738 3.570 32.490
O 3.769 3.540 10.978
O 3.794 3.499 25.477
O 3.903 0.824 3.497
O 3.933 0.775 18.002
O 3.939 0.701 10.975
O 4.549 2.182 8.341
O 4.567 2.161 22.819
O 4.606 2.094 37.322
O 4.616 2.076 1.335
O 4.625 2.051 15.813
O 4.652 5.155 30.285
O 4.640 2.010 30.309
O 4.715 4.938 22.843
O 4.768 4.930 37.342
O 5.437 3.749 6.136
O 5.499 3.717 20.609
O 5.501 3.665 35.106
O 5.577 3.534 13.196
O 5.602 3.490 27.694
O 6.429 5.165 32.482
O 6.497 5.063 25.473
```

Calculated values
Mass density, kg/m3: 3414
Total moment, μB per cell: 10.0
Formation enthalpy at 0 K, eV per atom: -2.738



No. 2
Density functional theory data (GGA+U) for a geometry-optimized Li24Ti5Cr7O36 structure. Values from VASP.

```
&SYSTEM
  ibrav = 0, nat = 72, ntyp = 4
/
ATOMIC_SPECIES
Li 6.94 Li.upf
Ti 47.87 Ti.upf
Cr 52.00 Cr.upf
O 16.00 O.upf
CELL_PARAMETERS angstrom
5.070 0.000 0.000
-0.851 9.752 0.000
-2.521 -1.900 12.979
ATOMIC_POSITIONS angstrom
Li -1.231 -1.579 10.794
Li -2.168 8.584 7.968
Li 3.790 6.852 3.242
Li -1.258 5.574 11.911
Li -0.460 4.653 1.460
Li -0.464 3.398 10.111
Li -0.401 4.236 4.331
Li -0.410 2.983 12.976
Li -0.385 3.830 7.199
Li 0.424 1.645 5.419
Li 0.469 8.803 6.467
Li 0.440 9.643 0.683
Li 0.452 8.370 9.333
Li 0.384 9.205 3.637
Li 1.258 -1.784 12.308
Li 1.266 6.202 7.566
Li 2.048 4.022 5.787
Li 2.152 3.615 8.627
Li 2.171 4.473 2.886
Li 2.150 3.181 11.515
Li 2.956 2.284 1.069
Li 2.926 9.430 2.176
Li -2.102 1.013 9.737
Li 3.837 -0.729 5.032
Ti -1.281 6.384 6.134
Ti 0.429 2.058 2.490
Ti 0.425 1.210 8.314
Ti 1.275 5.778 10.464
Ti 2.954 1.869 3.977
Cr -2.096 0.601 12.567
Cr -1.248 6.001 9.025
Cr 0.444 0.805 11.217
Cr 1.282 7.073 1.752
Cr 1.248 6.628 4.653
Cr 2.967 1.435 6.846
Cr 3.815 7.264 0.401
O -3.077 6.643 12.086
O -2.144 4.702 10.187
O -1.373 2.725 5.583
O -1.213 2.310 8.358
O -1.229 1.880 11.465
O -0.553 7.281 7.757
O -0.482 0.762 3.694
O -0.507 0.347 6.785
O -0.435 -0.476 12.318
O -0.402 8.139 1.833
O -0.326 7.707 4.942
O -0.381 6.873 10.519
O -0.283 -0.066 9.599
O 0.392 6.163 0.346
O 0.346 5.317 5.866
O 0.360 4.899 8.957
O 0.563 5.790 3.097
O 0.558 4.492 11.764
O 1.144 3.355 1.211
O 1.145 2.089 9.918
O 1.325 2.959 4.025
O 1.367 2.509 7.109
O 1.305 1.685 12.649
O 1.985 7.916 3.357
O 2.057 0.964 2.458
O 2.066 0.132 8.037
O 2.101 -0.286 11.152
O 2.141 8.345 0.645
O 2.158 7.503 6.159
O 2.175 7.084 9.282
O 2.224 0.571 5.271
O 2.932 5.982 1.506
O 2.881 5.542 4.613
O 3.070 5.130 7.437
O 3.860 3.169 2.791
O 4.764 1.209 0.893
```

Calculated values
Mass density, kg/m3: 3483
Total moment, μB per cell: 14.0
Formation enthalpy at 0 K, eV per atom: -2.543



No. 3
Density functional theory data (GGA+U) for a geometry-optimized Li32Ti3Cr13O48 structure. Values from VASP.

```
&SYSTEM
  ibrav = 0, nat = 96, ntyp = 4
/
ATOMIC_SPECIES
Li 6.94 Li.upf
Ti 47.87 Ti.upf
Cr 52.00 Cr.upf
O 16.00 O.upf
CELL_PARAMETERS angstrom
-3.447 3.390 1.461
-0.260 -3.700 7.910
15.276 11.843 2.844
ATOMIC_POSITIONS angstrom
Li 0.348 5.694 3.523
Li 2.614 6.019 5.322
Li -2.644 1.618 3.068
Li -2.781 -0.871 8.354
Li 7.993 11.629 4.928
Li 4.872 6.350 7.124
Li 10.235 11.943 6.733
Li 5.010 7.506 4.504
Li 4.829 5.043 9.783
Li -0.276 3.134 2.259
Li -2.755 0.424 5.712
Li 1.969 3.445 4.080
Li 7.361 9.060 3.686
Li 1.834 0.968 9.345
Li 1.944 2.157 6.705
Li 9.619 9.391 5.503
Li 4.193 2.478 8.536
Li 9.754 10.546 2.872
Li -1.041 -1.945 6.310
Li 9.574 8.075 8.140
Li 14.332 11.111 6.506
Li 11.845 8.398 9.966
Li 6.731 6.495 2.425
Li 6.585 4.009 7.703
Li 1.315 -0.406 5.479
Li 6.694 5.201 5.113
Li 3.592 -0.077 7.291
Li 14.346 12.440 3.856
Li 8.938 5.514 6.906
Li 0.250 4.484 6.120
Li 11.220 5.837 8.716
Li 11.330 7.046 6.074
Ti 10.358 13.217 4.085
Ti 4.304 3.738 5.883
Ti 9.052 6.782 4.254
Cr 2.516 4.783 7.979
Cr 2.695 7.213 2.710
Cr 10.176 10.713 9.323
Cr -0.438 0.635 7.488
Cr -0.379 1.938 4.932
Cr 7.183 6.551 8.984
Cr 7.261 7.827 6.349
Cr 4.384 4.947 3.216
Cr 11.933 9.587 7.355
Cr 12.009 10.866 4.718
Cr 1.247 -1.694 8.116
Cr 1.387 0.880 2.850
Cr 8.874 4.286 9.492
O -2.312 3.713 2.413
O -2.326 1.045 7.728
O -2.245 2.365 4.902
O 5.331 9.623 3.839
O -0.348 1.388 9.330
O -0.157 3.779 4.259
O 5.259 6.991 9.213
O 5.386 8.259 6.348
O -0.103 2.441 6.715
O 2.185 3.006 8.758
O 7.349 7.285 10.721
O 7.513 9.704 5.693
O 2.378 4.096 6.146
O 2.444 5.429 3.281
O 7.516 8.331 8.156
O 9.821 8.963 10.120
O -0.716 0.126 5.698
O 4.413 4.406 7.738
O 4.633 6.751 2.650
O 10.007 10.027 7.581
O 10.137 11.299 4.716
O -0.658 -1.203 8.163
O -0.471 1.193 3.098
O 4.636 5.483 5.097
O 6.932 6.047 7.126
O 12.094 10.321 9.087
O 12.266 12.744 4.064
O 1.422 0.208 7.521
O 1.515 1.525 4.696
O 6.933 4.767 9.560
O 7.126 7.135 4.516
O 12.271 11.369 6.524
O 1.752 2.566 2.106
O 4.035 3.195 4.013
O 9.120 6.090 8.928
O 9.161 7.443 6.108
O 4.082 1.825 6.518
O 4.215 4.259 1.473
O 9.384 8.522 3.465
O 11.678 9.087 5.495
O 6.213 3.272 5.865
O 6.308 4.554 2.985
O 11.682 7.803 7.930
O 11.877 10.174 2.885
O 6.215 1.900 8.329
O 13.868 9.128 7.295
O 13.916 10.484 4.477
O 13.873 7.864 9.744
```

Calculated values
Mass density, kg/m3: 3538
Total moment, μB per cell: 26.0
Formation enthalpy at 0 K, eV per atom: -2.373



No. 4
Density functional theory data (GGA+U) for a geometry-optimized Li32Ti13Cr3O48 structure. Values from VASP.

```
&SYSTEM
  ibrav = 0, nat = 96, ntyp = 4
/
ATOMIC_SPECIES
Li 6.94 Li.upf
Ti 47.87 Ti.upf
Cr 52.00 Cr.upf
O 16.00 O.upf
CELL_PARAMETERS angstrom
-5.091 0.000 0.000
-0.031 -8.812 0.000
1.683 2.826 19.328
ATOMIC_POSITIONS angstrom
Li -4.639 -0.769 4.839
Li -3.836 -2.246 7.248
Li -2.141 0.623 19.328
Li -2.128 -5.272 19.324
Li -3.796 0.626 14.486
Li -3.027 -3.701 9.653
Li -2.994 -0.834 16.911
Li -3.001 -0.776 9.659
Li -2.963 -6.706 9.652
Li -2.975 -0.748 2.417
Li -2.186 -2.292 19.318
Li -2.175 -2.223 4.831
Li -2.138 0.657 12.075
Li -2.162 -8.097 4.834
Li -2.093 -5.179 4.823
Li -1.317 -0.794 14.487
Li -1.306 -6.664 7.248
Li -1.281 2.118 14.495
Li -1.288 -6.616 0.002
Li -1.264 -3.779 14.491
Li -1.253 -3.695 0.011
Li -0.463 -5.231 16.913
Li -0.459 0.708 9.669
Li -0.464 -5.190 9.667
Li -0.445 -5.155 2.418
Li -0.406 -2.293 9.685
Li 0.350 -6.634 4.853
Li -1.319 -0.709 0.003
Li 0.394 -3.726 12.083
Li 0.404 -3.700 4.837
Li 1.191 -5.203 14.505
Li 1.235 -2.284 14.491
Ti -3.835 -5.207 7.245
Ti -2.993 2.124 16.918
Ti -3.005 -6.620 2.418
Ti -2.981 -3.689 2.418
Ti -2.150 -5.211 12.081
Ti -2.143 -2.273 12.104
Ti -1.298 -3.701 7.251
Ti -1.285 -0.737 7.247
Ti -0.458 -2.337 16.912
Ti -0.439 0.625 16.907
Ti -0.450 -8.094 2.422
Ti -0.442 -2.212 2.421
Ti 0.412 -6.693 12.050
Cr -3.833 0.675 7.255
Cr -2.995 -3.756 16.905
Cr 0.381 -0.793 12.073
O -4.789 -0.745 1.321
O -4.639 -6.717 1.326
O -4.623 -3.579 1.300
O -3.933 0.674 10.983
O -3.907 -7.997 3.512
O -3.890 -2.324 3.535
O -3.798 -5.314 10.982
O -3.792 -2.142 10.980
O -3.722 -5.157 3.513
O -3.120 -6.683 6.174
O -3.065 -6.584 13.178
O -3.071 -0.896 13.175
O -2.936 -3.819 6.153
O -2.949 -0.638 6.146
O -2.879 -3.739 13.176
O -2.280 -5.202 15.833
O -2.254 -5.151 1.318
O -2.206 -5.087 8.344
O -2.171 0.588 8.374
O -2.119 -2.422 15.826
O -2.078 0.754 15.788
O -2.091 -7.985 1.299
O -2.075 -2.312 1.323
O -2.015 -2.239 8.350
O -1.426 -3.733 10.979
O -1.355 -3.674 18.010
O -1.349 1.996 18.030
O -1.363 -6.731 3.536
O -1.347 -3.591 3.513
O -1.249 -6.574 10.961
O -1.184 -0.888 10.994
O -1.173 -0.840 18.010
O -1.167 -0.751 3.516
O -0.564 -2.236 6.156
O -0.526 -5.330 13.198
O -0.523 -2.185 13.178
O -0.388 -5.075 6.132
O -0.390 0.599 6.150
O -0.317 0.618 13.161
O 0.279 -0.834 15.814
O 0.344 -3.831 8.369
O 0.392 -0.648 8.326
O 0.440 -3.665 15.789
O 0.469 2.007 15.810
O 0.511 -6.688 8.326
O 1.209 -2.439 18.013
O 1.201 0.743 18.009
O 1.350 -5.215 17.993
```

Calculated values
Mass density, kg/m3: 3386
Total moment, μB per cell: 6.0
Formation enthalpy at 0 K, eV per atom: -2.839